Record 1
Ti2MnFeO6 after structural relaxation. Source: the Materials Project database, functional PBE+U.

- Calculated total energy: -0.307 hartree per atom
- Energy of formation from the pure elements: -2840 meV/atom

a b c (Å): 5.186 5.619 5.155
angles (deg): 116.48 120.12 62.75
Element x y z (fractional)
O  0.955  0.268  0.788
O  0.435  0.734  0.944
O  0.782  0.731  0.559
O  0.050  0.730  0.216
O  0.215  0.259  0.438
O  0.565  0.267  0.044
Ti  0.145  0.564  0.856
Ti  0.855  0.438  0.147
Fe  0.355  0.934  0.647
Mn  0.643  0.074  0.360

Record 2
Li9Mn2Co5O16 after structural relaxation. Source: the Materials Project database, functional PBE+U.

- Calculated total energy: -0.213 hartree per atom
- Energy of formation from the pure elements: -1793 meV/atom

a b c (Å): 2.901 5.163 19.525
angles (deg): 84.60 90.00 90.00
Element x y z (fractional)
Li  0.000  0.387  0.881
Li  0.000  0.121  0.628
Li  0.000  0.613  0.119
Li  0.000  0.879  0.372
Li  0.500  0.630  0.628
Li  0.500  0.500  0.000
Li  0.500  0.370  0.372
Li  0.500  0.883  0.878
Li  0.500  0.117  0.122
O  0.000  0.281  0.058
O  0.000  0.930  0.193
O  0.500  0.068  0.307
O  0.000  0.070  0.807
O  0.500  0.570  0.807
O  0.000  0.833  0.558
O  0.500  0.673  0.444
O  0.000  0.435  0.691
O  0.500  0.170  0.945
O  0.500  0.430  0.193
O  0.500  0.327  0.556
O  0.500  0.830  0.055
O  0.000  0.565  0.309
O  0.500  0.932  0.693
O  0.000  0.167  0.442
O  0.000  0.719  0.942
Mn  0.000  0.000  0.000
Mn  0.000  0.500  0.500
Co  0.000  0.248  0.249
Co  0.000  0.752  0.751
Co  0.500  0.253  0.750
Co  0.500  0.000  0.500
Co  0.500  0.747  0.250

Record 3
Li4V3P8O29 after structural relaxation. Source: the Materials Project database, functional PBE+U.

- Calculated total energy: -0.259 hartree per atom
- Energy of formation from the pure elements: -2573 meV/atom

a b c (Å): 9.771 9.784 14.130
angles (deg): 89.79 90.47 119.89
Element x y z (fractional)
O  0.078  0.618  0.669
O  0.998  0.205  0.247
O  0.186  0.524  0.820
O  0.489  0.811  0.334
O  0.085  0.345  0.665
O  0.472  0.091  0.331
O  0.797  0.800  0.418
O  0.189  0.671  0.325
O  0.749  0.750  0.066
O  0.205  0.209  0.754
O  0.917  0.383  0.330
O  0.518  0.620  0.178
O  0.517  0.331  0.170
O  0.795  0.002  0.748
O  0.811  0.328  0.675
O  0.343  0.817  0.822
O  0.381  0.905  0.181
O  0.990  0.236  0.070
O  0.092  0.475  0.179
O  0.345  0.086  0.831
O  0.232  0.021  0.436
O  0.006  0.215  0.426
O  0.988  0.751  0.936
O  0.002  0.800  0.577
O  0.797  0.789  0.241
O  0.745  0.085  0.338
O  0.340  0.258  0.333
O  0.766  0.979  0.566
O  0.234  0.006  0.079
O  0.338  0.672  0.973
O  0.620  0.098  0.821
O  0.009  0.799  0.757
O  0.676  0.344  0.026
O  0.083  0.743  0.163
O  0.658  0.333  0.525
O  0.252  0.338  0.158
O  0.673  0.187  0.170
O  0.818  0.486  0.177
O  0.486  0.663  0.830
O  0.917  0.260  0.834
O  0.259  0.916  0.664
O  0.663  0.917  0.157
O  0.227  0.230  0.573
O  0.906  0.524  0.821
O  0.201  0.990  0.258
O  0.325  0.660  0.478
O  0.322  0.510  0.332
O  0.761  0.002  0.927
O  0.479  0.382  0.820
O  0.382  0.473  0.674
O  0.916  0.657  0.334
O  0.667  0.479  0.675
O  0.529  0.914  0.672
O  0.250  0.238  0.933
O  0.652  0.740  0.670
O  0.619  0.538  0.332
O  0.744  0.661  0.836
O  0.510  0.181  0.669
P  0.918  0.224  0.342
P  0.227  0.913  0.163
P  0.336  0.663  0.869
P  0.670  0.337  0.131
P  0.320  0.231  0.843
P  0.663  0.327  0.629
P  0.315  0.088  0.345
P  0.336  0.665  0.372
P  0.679  0.768  0.156
P  0.083  0.316  0.156
P  0.083  0.779  0.659
P  0.914  0.684  0.844
P  0.684  0.912  0.657
P  0.777  0.691  0.338
P  0.225  0.314  0.661
P  0.774  0.092  0.838
Li  0.913  0.683  0.063
Li  0.308  0.222  0.060
Li  0.233  0.334  0.440
Li  0.976  0.947  0.495
Li  0.773  0.095  0.058
Li  0.670  0.903  0.438
Li  0.683  0.773  0.940
Li  0.331  0.092  0.559
V  0.567  0.002  0.249
V  0.570  0.562  0.745
V  0.005  0.567  0.257
V  0.998  0.436  0.747
V  0.433  0.434  0.249
V  0.431  0.996  0.754

Record 4
LiNi2O4 after structural relaxation. Source: the Materials Project database, functional PBE+U.

- Calculated total energy: -0.178 hartree per atom
- Energy of formation from the pure elements: -1216 meV/atom

a b c (Å): 5.659 5.795 5.788
angles (deg): 58.22 60.80 60.70
Element x y z (fractional)
Ni  0.500  0.500  0.000
Ni  0.500  0.000  0.500
Ni  0.500  0.500  0.500
Ni  0.000  0.500  0.500
O  0.725  0.301  0.750
O  0.276  0.250  0.699
O  0.275  0.699  0.250
O  0.281  0.750  0.749
O  0.720  0.250  0.251
O  0.722  0.748  0.749
O  0.279  0.252  0.251
O  0.724  0.750  0.301
Li  0.137  0.113  0.113
Li  0.863  0.887  0.887

Record 5
LiMnP4O12 after structural relaxation. Source: the Materials Project database, functional PBE+U.

- Calculated total energy: -0.260 hartree per atom
- Energy of formation from the pure elements: -2512 meV/atom

a b c (Å): 9.006 6.986 7.208
angles (deg): 85.17 90.00 90.00
Element x y z (fractional)
O  0.478  0.117  0.542
O  0.978  0.883  0.458
O  0.530  0.699  0.092
O  0.790  0.588  0.389
O  0.810  0.172  0.521
O  0.290  0.412  0.611
O  0.860  0.506  0.720
O  0.082  0.471  0.364
O  0.948  0.980  0.782
O  0.440  0.386  0.977
O  0.237  0.173  0.369
O  0.448  0.020  0.218
O  0.267  0.674  0.963
O  0.582  0.529  0.636
O  0.043  0.979  0.102
O  0.737  0.827  0.631
O  0.767  0.326  0.037
O  0.360  0.494  0.280
O  0.940  0.614  0.023
O  0.722  0.930  0.172
O  0.222  0.070  0.828
O  0.030  0.301  0.908
O  0.543  0.021  0.898
O  0.310  0.828  0.479
P  0.887  0.436  0.936
P  0.870  0.980  0.584
P  0.387  0.564  0.064
P  0.233  0.396  0.412
P  0.570  0.925  0.091
P  0.370  0.020  0.416
P  0.733  0.604  0.588
P  0.070  0.075  0.909
Mn  0.427  0.232  0.767
Mn  0.927  0.768  0.233
Li  0.852  0.333  0.307
Li  0.352  0.667  0.693

Record 6
FeBO3 after structural relaxation. Source: the Materials Project database, functional PBE+U.

- Calculated total energy: -0.272 hartree per atom
- Energy of formation from the pure elements: -2270 meV/atom

a b c (Å): 4.674 4.674 5.592
angles (deg): 65.29 65.29 60.00
Element x y z (fractional)
Fe  0.500  0.500  0.500
Fe  0.000  0.000  0.000
B  0.750  0.750  0.750
B  0.250  0.250  0.250
O  0.547  0.250  0.250
O  0.750  0.047  0.750
O  0.047  0.453  0.750
O  0.953  0.547  0.250
O  0.250  0.953  0.250
O  0.453  0.750  0.750

Among the records above, which one has the highest energy of formation from the pure elements?
LiNi2O4

Which value of calculated total energy does entry 3 give?
-0.259 hartree per atom

Look up the energy of formation from the pure elements of the second one.
-1793 meV/atom

Which of these has the highest energy of formation from the pure elements?
LiNi2O4